Here is an optimized crystal structure of La6NbGa11O28 from the Materials Project database. Energies are from GGA-PBE.

Calculated values
total energy after the MP2020 corrections = -7.42 eV per atom
energy relative to the lowest polymorph listed for this composition = 4.05 eV per formula unit

Lattice parameters (Å, degrees): 8.482 9.698 9.713 64.77 65.34 64.23
Space group P1 (No. 1)
Symmetry-distinct sites (fractional):
La (0.000, 0.000, 0.000)
La (0.003, 0.519, 0.500)
La (0.410, 0.224, 0.225)
La (0.435, 0.731, 0.704)
La (0.540, 0.924, 0.948)
La (0.570, 0.433, 0.438)
Nb (0.993, 0.735, 0.723)
Ga (0.004, 0.201, 0.197)
Ga (0.061, 0.086, 0.507)
Ga (0.245, 0.344, 0.865)
Ga (0.273, 0.815, 0.328)
Ga (0.321, 0.165, 0.623)
Ga (0.395, 0.624, 0.125)
Ga (0.637, 0.323, 0.823)
Ga (0.651, 0.795, 0.317)
Ga (0.748, 0.460, 0.943)
Ga (0.752, 0.997, 0.460)
Ga (0.929, 0.549, 0.111)
O (0.088, 0.734, 0.495)
O (0.109, 0.903, 0.674)
O (0.139, 0.370, 0.120)
O (0.142, 0.176, 0.989)
O (0.156, 0.228, 0.503)
O (0.207, 0.819, 0.145)
O (0.209, 0.038, 0.306)
O (0.213, 0.571, 0.799)
O (0.283, 0.357, 0.649)
O (0.320, 0.469, 0.303)
O (0.328, 0.977, 0.782)
O (0.435, 0.741, 0.460)
O (0.488, 0.209, 0.875)
O (0.511, 0.692, 0.211)
O (0.517, 0.416, 0.997)
O (0.532, 0.166, 0.450)
O (0.559, 0.679, 0.921)
O (0.636, 0.975, 0.142)
O (0.665, 0.470, 0.626)
O (0.697, 0.814, 0.484)
O (0.770, 0.919, 0.676)
O (0.798, 0.416, 0.133)
O (0.850, 0.604, 0.295)
O (0.852, 0.262, 0.872)
O (0.859, 0.204, 0.432)
O (0.871, 0.740, 0.952)
O (0.879, 0.055, 0.243)
O (0.906, 0.560, 0.758)

=====

Here is an optimized crystal structure of La6NbGa11O28 from the Materials Project database. Energies are from GGA-PBE.

Calculated values
total energy after the MP2020 corrections = -7.50 eV per atom
energy relative to the lowest polymorph listed for this composition = 0.07 eV per formula unit

Lattice parameters (Å, degrees): 8.268 9.751 9.800 64.19 65.14 65.32
Space group P1 (No. 1)
Symmetry-distinct sites (fractional):
La (0.000, 0.000, 0.000)
La (0.001, 0.503, 0.495)
La (0.424, 0.076, 0.074)
La (0.432, 0.578, 0.566)
La (0.844, 0.287, 0.286)
La (0.864, 0.783, 0.786)
Nb (0.427, 0.789, 0.786)
Ga (0.091, 0.864, 0.388)
Ga (0.098, 0.352, 0.881)
Ga (0.185, 0.059, 0.529)
Ga (0.202, 0.519, 0.040)
Ga (0.418, 0.292, 0.288)
Ga (0.418, 0.651, 0.166)
Ga (0.433, 0.160, 0.642)
Ga (0.670, 0.413, 0.915)
Ga (0.672, 0.919, 0.408)
Ga (0.754, 0.220, 0.689)
Ga (0.763, 0.716, 0.182)
O (0.083, 0.032, 0.207)
O (0.091, 0.531, 0.708)
O (0.116, 0.359, 0.062)
O (0.117, 0.875, 0.562)
O (0.204, 0.974, 0.741)
O (0.209, 0.496, 0.236)
O (0.265, 0.262, 0.524)
O (0.281, 0.678, 0.366)
O (0.287, 0.785, 0.012)
O (0.289, 0.168, 0.855)
O (0.340, 0.108, 0.322)
O (0.340, 0.607, 0.825)
O (0.480, 0.322, 0.050)
O (0.510, 0.797, 0.557)
O (0.564, 0.442, 0.223)
O (0.568, 0.298, 0.591)
O (0.572, 0.942, 0.716)
O (0.573, 0.787, 0.091)
O (0.628, 0.128, 0.387)
O (0.648, 0.629, 0.864)
O (0.737, 0.909, 0.205)
O (0.738, 0.409, 0.708)
O (0.759, 0.048, 0.867)
O (0.762, 0.548, 0.364)
O (0.884, 0.281, 0.979)
O (0.885, 0.786, 0.478)
O (0.956, 0.209, 0.510)
O (0.977, 0.697, 0.011)

=====

Here is an optimized crystal structure of La2NdGa3O9 from the Materials Project database. Energies are from GGA-PBE.

Calculated values
total energy after the MP2020 corrections = -7.63 eV per atom

Lattice parameters (Å, degrees): 5.581 9.608 13.569 90.19 90.05 90.03
Space group P1 (No. 1)
Symmetry-distinct sites (fractional):
La (0.000, 0.000, 0.000)
La (0.000, 0.333, 0.333)
La (0.432, 0.167, 0.667)
La (0.433, 0.500, 0.001)
La (0.433, 0.833, 0.333)
La (0.930, 0.329, 0.828)
La (0.930, 0.662, 0.162)
La (0.930, 0.994, 0.496)
Nd (0.011, 0.668, 0.668)
Nd (0.510, 0.161, 0.161)
Nd (0.510, 0.495, 0.495)
Nd (0.512, 0.827, 0.827)
Ga (0.464, 0.163, 0.914)
Ga (0.464, 0.165, 0.414)
Ga (0.464, 0.496, 0.249)
Ga (0.464, 0.832, 0.080)
Ga (0.467, 0.499, 0.747)
Ga (0.467, 0.829, 0.581)
Ga (0.967, 0.330, 0.081)
Ga (0.967, 0.333, 0.581)
Ga (0.967, 0.665, 0.914)
Ga (0.967, 0.997, 0.748)
Ga (0.968, 0.664, 0.416)
Ga (0.968, 0.998, 0.248)
O (0.173, 0.402, 0.691)
O (0.173, 0.787, 0.499)
O (0.175, 0.121, 0.830)
O (0.175, 0.454, 0.164)
O (0.175, 0.734, 0.024)
O (0.176, 0.067, 0.358)
O (0.253, 0.896, 0.692)
O (0.254, 0.624, 0.828)
O (0.255, 0.232, 0.025)
O (0.255, 0.290, 0.497)
O (0.255, 0.565, 0.359)
O (0.255, 0.956, 0.163)
O (0.443, 0.636, 0.637)
O (0.450, 0.303, 0.303)
O (0.450, 0.970, 0.970)
O (0.479, 0.022, 0.523)
O (0.479, 0.356, 0.856)
O (0.479, 0.689, 0.189)
O (0.674, 0.375, 0.665)
O (0.674, 0.761, 0.472)
O (0.676, 0.043, 0.332)
O (0.676, 0.094, 0.806)
O (0.676, 0.709, 0.998)
O (0.677, 0.427, 0.140)
O (0.750, 0.208, 0.001)
O (0.750, 0.266, 0.473)
O (0.750, 0.541, 0.335)
O (0.750, 0.931, 0.139)
O (0.753, 0.599, 0.803)
O (0.753, 0.871, 0.667)
O (0.943, 0.526, 0.526)
O (0.944, 0.189, 0.189)
O (0.945, 0.856, 0.856)
O (0.980, 0.139, 0.640)
O (0.980, 0.473, 0.972)
O (0.980, 0.806, 0.306)

=====

Here is an optimized crystal structure of La3NdGa4O12 from the Materials Project database. Energies are from GGA-PBE.

Calculated values
total energy after the MP2020 corrections = -7.64 eV per atom
energy relative to the lowest polymorph listed for this composition = 0.00 eV per formula unit

Lattice parameters (Å, degrees): 5.556 7.860 5.557 90.00 90.10 90.00
Space group Pm (No. 6)
Symmetry-distinct sites (fractional):
La (0.000, 0.000, 0.000)
La (0.054, 0.500, 0.015)
La (0.502, 0.000, 0.515)
Nd (0.562, 0.500, 0.499)
Ga (0.029, 0.251, 0.509)
Ga (0.527, 0.251, 0.008)
O (0.010, 0.500, 0.585)
O (0.040, 0.000, 0.431)
O (0.247, 0.209, 0.789)
O (0.310, 0.294, 0.290)
O (0.515, 0.500, 0.925)
O (0.540, 0.000, 0.084)
O (0.748, 0.210, 0.729)
O (0.805, 0.294, 0.232)

=====

Here is an optimized crystal structure of LaNd3Ga4O12 from the Materials Project database. Energies are from GGA-PBE.

Calculated values
total energy after the MP2020 corrections = -7.60 eV per atom

Lattice parameters (Å, degrees): 5.486 7.823 5.599 90.00 90.07 90.00
Space group Pm (No. 6)
Symmetry-distinct sites (fractional):
La (0.000, 0.000, 0.000)
Nd (0.020, 0.500, 0.089)
Nd (0.498, 0.500, 0.586)
Nd (0.519, 0.000, 0.492)
Ga (0.008, 0.251, 0.541)
Ga (0.509, 0.252, 0.038)
O (0.092, 0.000, 0.556)
O (0.217, 0.296, 0.831)
O (0.299, 0.295, 0.331)
O (0.433, 0.000, 0.061)
O (0.593, 0.500, 0.016)
O (0.713, 0.208, 0.743)
O (0.798, 0.209, 0.248)
O (0.925, 0.500, 0.518)

=====

Here is an optimized crystal structure of La3NdGa4O12 from the Materials Project database. Energies are from GGA-PBE.

Calculated values
total energy after the MP2020 corrections = -7.63 eV per atom
energy relative to the lowest polymorph listed for this composition = 0.16 eV per formula unit

Lattice parameters (Å, degrees): 9.500 5.584 9.670 90.00 109.84 90.00
Space group C2 (No. 5)
Symmetry-distinct sites (fractional):
La (0.000, 0.000, 0.000)
La (0.250, 0.499, 0.251)
Nd (0.000, 0.498, 0.500)
Ga (0.125, 0.499, 0.874)
Ga (0.125, 0.999, 0.376)
O (0.000, 0.074, 0.500)
O (0.000, 0.214, 0.216)
O (0.000, 0.567, 0.000)
O (0.000, 0.713, 0.287)
O (0.248, 0.431, 0.748)
O (0.250, 0.283, 0.034)
O (0.250, 0.283, 0.466)

=====

Here is an optimized crystal structure of LaGaNi from the Materials Project database. Energies are from GGA-PBE.

Lattice parameters (Å, degrees): 6.083 6.426 7.784 90.00 123.93 90.00
Space group P2_1/c (No. 14)
Symmetry-distinct sites (fractional):
La (0.215, 0.148, 0.416)
Ga (0.261, 0.637, 0.579)
Ni (0.367, 0.592, 0.322)

=====

Here is an optimized crystal structure of La2Ga5Ni5 from the Materials Project database. Energies are from GGA-PBE.

Lattice parameters (Å, degrees): 5.181 9.777 8.050 90.00 90.00 90.00
Space group Amm2 (No. 38)
Symmetry-distinct sites (fractional):
La (0.000, 0.000, 0.000)
La (0.500, 0.000, 0.379)
Ga (0.245, 0.222, 0.686)
Ga (0.500, 0.000, 0.778)
Ni (0.000, 0.000, 0.626)
Ni (0.000, 0.184, 0.416)
Ni (0.500, 0.192, 0.958)

=====

Here is an optimized crystal structure of LaGaNi from the Materials Project database. Energies are from GGA-PBE.

Lattice parameters (Å, degrees): 6.423 7.655 5.582 90.00 114.14 90.00
Space group P2_1/c (No. 14)
Symmetry-distinct sites (fractional):
La (0.152, 0.098, 0.321)
Ga (0.383, 0.746, 0.684)
Ni (0.312, 0.040, 0.880)

=====

Here is an optimized crystal structure of LaGa3Ni from the Materials Project database. Energies are from GGA-PBE.

Lattice parameters (Å, degrees): 4.187 4.187 10.679 90.00 90.00 90.00
Space group I-4m2 (No. 119)
Symmetry-distinct sites (fractional):
La (0.000, 0.000, 0.000)
Ga (0.000, 0.000, 0.380)
Ga (0.000, 0.500, 0.250)
Ni (0.000, 0.500, 0.750)

=====

Here is an optimized crystal structure of La4Ga2O9 from the Materials Project database. Energies are from GGA-PBE.

Calculated values
total energy after the MP2020 corrections = -8.10 eV per atom

Lattice parameters (Å, degrees): 8.003 11.257 11.738 90.00 109.35 90.00
Space group P2_1/c (No. 14)
Symmetry-distinct sites (fractional):
La (0.023, 0.103, 0.286)
La (0.165, 0.623, 0.571)
La (0.336, 0.121, 0.913)
La (0.476, 0.591, 0.194)
Ga (0.155, 0.184, 0.615)
Ga (0.280, 0.687, 0.874)
O (0.065, 0.747, 0.885)
O (0.069, 0.007, 0.897)
O (0.138, 0.231, 0.461)
O (0.202, 0.030, 0.672)
O (0.267, 0.727, 0.235)
O (0.284, 0.528, 0.836)
O (0.286, 0.226, 0.249)
O (0.421, 0.738, 0.024)
O (0.423, 0.005, 0.105)

=====

Here is an optimized crystal structure of La2Ga4O9 from the Materials Project database. Energies are from GGA-PBE.

Calculated values
total energy after the MP2020 corrections = -7.20 eV per atom

Lattice parameters (Å, degrees): 7.803 8.774 5.973 90.00 90.00 90.00
Space group Pbam (No. 55)
Symmetry-distinct sites (fractional):
La (0.154, 0.185, 0.000)
Ga (0.000, 0.500, 0.256)
Ga (0.139, 0.834, 0.500)
O (0.000, 0.000, 0.500)
O (0.102, 0.722, 0.238)
O (0.143, 0.422, 0.500)
O (0.163, 0.451, 0.000)

=====

| no. | formation enthalpy at 0 K (eV per atom) |
| --- | --- |
| 1 | -2.816 |
| 2 | -2.903 |
| 3 | -3.082 |
| 4 | -3.085 |
| 5 | -3.063 |
| 6 | -3.077 |
| 7 | -0.587 |
| 8 | -0.474 |
| 9 | -0.421 |
| 10 | -0.546 |
| 11 | -3.407 |
| 12 | -2.762 |